No. 1
Entry from Materials Project: an optimized crystal structure of KTm2Cl7 (PBE-GGA).

Calculated values
electronic total energy	-0.166	hartree per atom
crystal system	monoclinic
calculated formation energy	-2.6566	eV/atom
symmetry	No. 14

abc: 6.864 12.499 13.191
angles: 90.00 90.90 90.00
Atoms (fractional coordinates):
Cl 0.997 0.703 0.824
Cl 0.026 0.074 0.379
Tm 0.274 0.161 0.249
Cl 0.536 0.059 0.132
Cl 0.944 0.973 0.865
Cl 0.056 0.473 0.635
Cl 0.743 0.815 0.108
Cl 0.464 0.941 0.868
K 0.734 0.299 0.462
Cl 0.056 0.027 0.135
Cl 0.974 0.574 0.121
Cl 0.974 0.926 0.621
Cl 0.456 0.586 0.123
Cl 0.517 0.678 0.826
Cl 0.483 0.322 0.174
Cl 0.544 0.414 0.877
Tm 0.274 0.339 0.749
Tm 0.726 0.661 0.251
Cl 0.003 0.203 0.676
Cl 0.944 0.527 0.365
Cl 0.003 0.297 0.176
Cl 0.257 0.315 0.392
Cl 0.997 0.797 0.324
Cl 0.536 0.441 0.632
K 0.266 0.701 0.538
Tm 0.779 0.962 0.262
Tm 0.726 0.839 0.751
Cl 0.544 0.086 0.377
K 0.266 0.799 0.038
Cl 0.483 0.178 0.674
Tm 0.221 0.462 0.238
Cl 0.464 0.559 0.368
Cl 0.257 0.185 0.892
Tm 0.221 0.038 0.738
Tm 0.779 0.538 0.762
Cl 0.456 0.914 0.623
K 0.734 0.201 0.962
Cl 0.743 0.685 0.608
Cl 0.517 0.822 0.326
Cl 0.026 0.426 0.879

No. 2
Entry from Materials Project: an optimized crystal structure of MgAl2S4 (PBE-GGA).

Calculated values
electronic total energy	-0.177	hartree per atom
crystal system	trigonal
calculated formation energy	-1.4501	eV/atom
symmetry	No. 166

abc: 3.715 3.715 13.137
angles: 81.87 81.87 60.00
Atoms (fractional coordinates):
S 0.884 0.884 0.349
S 0.116 0.116 0.651
S 0.298 0.298 0.107
Mg 0.000 0.000 0.000
Al 0.242 0.242 0.274
S 0.702 0.702 0.893
Al 0.758 0.758 0.726

No. 3
Entry from Materials Project: an optimized crystal structure of Li4NbIn3P6O24 (PBE-GGA).

Calculated values
electronic total energy	-0.253	hartree per atom
crystal system	monoclinic
calculated formation energy	-2.6495	eV/atom
symmetry	No. 7

abc: 9.014 8.751 15.209
angles: 55.23 90.00 90.00
Atoms (fractional coordinates):
Li 0.463 0.036 0.172
Nb 0.290 0.858 0.390
O 0.152 0.156 0.471
O 0.237 0.597 0.711
In 0.793 0.364 0.388
P 0.141 0.252 0.351
Li 0.537 0.036 0.672
O 0.763 0.597 0.211
O 0.616 0.619 0.944
O 0.018 0.332 0.811
Li 0.532 0.403 0.827
O 0.991 0.981 0.192
O 0.246 0.096 0.763
P 0.497 0.454 0.001
In 0.209 0.139 0.609
O 0.201 0.132 0.054
O 0.515 0.657 0.685
In 0.791 0.139 0.109
O 0.417 0.458 0.087
O 0.740 0.900 0.744
O 0.384 0.619 0.444
O 0.260 0.402 0.287
O 0.352 0.902 0.666
P 0.859 0.252 0.851
O 0.080 0.544 0.912
O 0.754 0.096 0.263
O 0.574 0.264 0.053
O 0.621 0.209 0.364
P 0.640 0.046 0.351
O 0.910 0.541 0.583
O 0.403 0.486 0.907
O 0.165 0.094 0.331
P 0.996 0.544 0.998
O 0.848 0.156 0.971
O 0.982 0.332 0.311
O 0.308 0.867 0.953
O 0.481 0.010 0.319
Li 0.030 0.593 0.674
O 0.875 0.399 0.055
O 0.835 0.094 0.831
O 0.260 0.900 0.244
O 0.692 0.867 0.453
In 0.710 0.634 0.613
O 0.336 0.829 0.526
O 0.799 0.132 0.554
Li 0.954 0.968 0.324
O 0.740 0.402 0.787
P 0.641 0.744 0.150
Li 0.046 0.968 0.824
O 0.920 0.544 0.412
O 0.009 0.981 0.692
O 0.519 0.010 0.819
P 0.140 0.954 0.153
P 0.359 0.744 0.650
O 0.583 0.458 0.587
O 0.129 0.789 0.142
O 0.379 0.209 0.864
In 0.207 0.364 0.888
In 0.290 0.634 0.113
Li 0.468 0.403 0.327
P 0.360 0.046 0.851
Li 0.970 0.593 0.174
O 0.664 0.829 0.026
O 0.485 0.657 0.185
P 0.004 0.544 0.498
O 0.597 0.486 0.407
P 0.503 0.454 0.501
O 0.871 0.789 0.642
O 0.087 0.744 0.436
O 0.913 0.744 0.936
O 0.090 0.541 0.083
O 0.648 0.902 0.166
O 0.125 0.399 0.555
Nb 0.710 0.858 0.890
O 0.426 0.264 0.553
P 0.860 0.954 0.653

No. 4
Entry from Materials Project: an optimized crystal structure of Na9MgNb5Si9O36 (PBE-GGA).

Calculated values
electronic total energy	-0.271	hartree per atom
calculated formation energy	-2.9458	eV/atom
distance to the lowest polymorph of the same formula	0	meV/atom

abc: 15.820 27.244 9.081
angles: 89.79 125.09 90.29
Atoms (fractional coordinates):
Nb 0.393 0.082 0.933
O 0.649 0.024 0.740
O 0.153 0.192 0.745
Mg 0.897 0.749 0.436
Nb 0.389 0.752 0.931
O 0.250 0.110 0.763
O 0.744 0.393 0.267
O 0.244 0.893 0.267
O 0.937 0.313 0.071
Na 0.312 0.191 0.678
O 0.529 0.721 0.067
O 0.965 0.224 0.442
O 0.863 0.451 0.585
O 0.037 0.443 0.565
O 0.030 0.549 0.068
Na 0.314 0.525 0.682
Nb 0.109 0.917 0.572
Si 0.855 0.536 0.257
O 0.085 0.950 0.746
Si 0.502 0.180 0.248
Si 0.353 0.632 0.747
Na 0.001 0.124 0.277
O 0.353 0.289 0.576
Na 0.708 0.145 0.287
Na 0.989 0.198 0.726
Na 0.812 0.691 0.678
Na 0.751 0.915 0.507
Na 0.814 0.025 0.682
O 0.260 0.064 0.242
O 0.962 0.109 0.927
O 0.463 0.275 0.934
O 0.462 0.391 0.441
O 0.962 0.891 0.441
O 0.258 0.938 0.740
O 0.462 0.609 0.927
Si 0.641 0.298 0.731
O 0.037 0.888 0.062
O 0.146 0.808 0.239
Na 0.502 0.038 0.754
O 0.342 0.311 0.246
O 0.920 0.283 0.755
O 0.258 0.396 0.245
O 0.587 0.548 0.243
Na 0.488 0.363 0.719
Si 0.498 0.486 0.735
O 0.436 0.857 0.577
O 0.964 0.556 0.439
O 0.136 0.783 0.907
O 0.652 0.973 0.247
O 0.465 0.944 0.938
O 0.850 0.476 0.261
Na 0.317 0.485 0.251
O 0.569 0.809 0.426
Na 0.205 0.308 0.293
O 0.857 0.223 0.087
Si 0.856 0.464 0.754
Si 0.855 0.204 0.258
Nb 0.108 0.751 0.061
O 0.420 0.184 0.565
O 0.539 0.278 0.551
O 0.653 0.692 0.745
Na 0.748 0.415 0.998
Si 0.355 0.298 0.752
Nb 0.106 0.415 0.067
Na 0.749 0.256 0.503
O 0.537 0.943 0.565
O 0.145 0.547 0.426
O 0.350 0.976 0.261
O 0.084 0.617 0.743
O 0.922 0.949 0.761
Na 0.248 0.915 0.998
O 0.246 0.776 0.761
Na 0.759 0.089 0.018
Na 0.256 0.254 0.015
O 0.418 0.516 0.555
Si 0.140 0.201 0.241
O 0.348 0.357 0.772
O 0.846 0.191 0.768
O 0.043 0.111 0.561
O 0.152 0.473 0.247
Na 0.500 0.964 0.254
O 0.569 0.189 0.925
Nb 0.397 0.417 0.936
Si 0.500 0.153 0.744
O 0.143 0.214 0.424
O 0.760 0.770 0.745
Si 0.001 0.346 0.252
Nb 0.603 0.581 0.058
Nb 0.391 0.915 0.430
Na 0.001 0.789 0.270
O 0.645 0.619 0.923
O 0.543 0.611 0.561
O 0.943 0.641 0.077
Si 0.356 0.369 0.257
O 0.637 0.381 0.417
Nb 0.893 0.582 0.933
Na 0.208 0.645 0.287
O 0.363 0.951 0.585
O 0.643 0.714 0.424
O 0.636 0.283 0.907
Na 0.743 0.577 0.497
O 0.645 0.047 0.426
O 0.234 0.560 0.240
Si 0.644 0.630 0.741
Na 0.807 0.653 0.241
Mg 0.398 0.583 0.437
Si 0.355 0.036 0.257
O 0.465 0.724 0.442
O 0.942 0.978 0.071
Si 0.646 0.964 0.744
Na 0.501 0.289 0.270
O 0.442 0.478 0.071
O 0.562 0.524 0.911
O 0.360 0.390 0.090
Nb 0.608 0.750 0.576
O 0.358 0.050 0.083
O 0.260 0.270 0.745
O 0.089 0.712 0.246
O 0.145 0.141 0.239
O 0.346 0.691 0.768
O 0.649 0.359 0.744
O 0.083 0.285 0.743
O 0.734 0.060 0.240
O 0.589 0.212 0.246
O 0.062 0.024 0.911
Na 0.000 0.464 0.254
O 0.039 0.778 0.551
O 0.087 0.048 0.243
O 0.420 0.783 0.755
O 0.350 0.621 0.571
Si 0.502 0.514 0.250
Si 0.141 0.798 0.731
Nb 0.606 0.915 0.067
Na 0.307 0.153 0.241
O 0.858 0.550 0.083
Na 0.705 0.808 0.293
Si 0.644 0.034 0.246
O 0.587 0.880 0.248
O 0.965 0.444 0.938
O 0.583 0.785 0.743
O 0.069 0.689 0.925
O 0.585 0.450 0.746
Si 0.643 0.368 0.247
Si 0.998 0.986 0.735
Na 0.002 0.538 0.754
O 0.233 0.226 0.244
O 0.257 0.730 0.246
Nb 0.103 0.081 0.058
O 0.418 0.548 0.245
O 0.860 0.890 0.090
O 0.066 0.976 0.425
O 0.530 0.049 0.068
O 0.246 0.443 0.754
O 0.758 0.438 0.740
O 0.345 0.645 0.250
Na 0.251 0.415 0.507
O 0.963 0.775 0.934
Nb 0.108 0.250 0.576
O 0.917 0.713 0.244
O 0.145 0.119 0.923
O 0.918 0.016 0.555
Na 0.489 0.698 0.726
O 0.644 0.950 0.922
O 0.566 0.476 0.425
O 0.645 0.641 0.239
Si 0.640 0.701 0.241
O 0.137 0.881 0.417
Si 0.501 0.846 0.252
O 0.537 0.388 0.062
O 0.069 0.309 0.426
O 0.417 0.213 0.244
Na 0.501 0.624 0.277
O 0.149 0.859 0.744
Si 0.855 0.798 0.752
O 0.149 0.524 0.740
O 0.746 0.276 0.761
O 0.144 0.450 0.922
O 0.920 0.684 0.565
Si 0.856 0.869 0.257
O 0.357 0.723 0.087
O 0.087 0.380 0.248
O 0.760 0.102 0.746
Si 0.144 0.130 0.741
Nb 0.897 0.917 0.936
O 0.848 0.857 0.772
Na 0.817 0.985 0.251
O 0.584 0.117 0.743
O 0.068 0.642 0.424
O 0.567 0.855 0.931
Si 0.146 0.464 0.744
O 0.422 0.449 0.761
Na 0.243 0.077 0.497
Si 0.002 0.014 0.250
Si 0.356 0.964 0.754
O 0.853 0.789 0.576
O 0.029 0.221 0.067
Si 0.000 0.319 0.750
Si 0.000 0.653 0.744
Na 0.249 0.756 0.503
O 0.758 0.896 0.245
O 0.260 0.602 0.746
O 0.423 0.884 0.261
Si 0.002 0.680 0.248
O 0.850 0.121 0.571
Mg 0.397 0.249 0.436
O 0.429 0.115 0.772
O 0.923 0.384 0.261
O 0.646 0.308 0.239
Na 0.259 0.589 0.018
Na 0.756 0.754 0.015
O 0.568 0.142 0.424
O 0.349 0.024 0.755
O 0.929 0.615 0.772
Si 0.853 0.132 0.747
Nb 0.609 0.085 0.574
O 0.750 0.610 0.763
O 0.733 0.726 0.244
O 0.437 0.813 0.071
Mg 0.898 0.083 0.437
O 0.842 0.811 0.246
Na 0.988 0.863 0.719
Si 0.144 0.534 0.246
Nb 0.608 0.251 0.061
O 0.849 0.524 0.755
O 0.845 0.145 0.250
Nb 0.889 0.252 0.931
O 0.443 0.141 0.077
Nb 0.609 0.417 0.572
Nb 0.891 0.415 0.430
O 0.067 0.355 0.931
Si 0.143 0.868 0.247
O 0.936 0.357 0.577
O 0.760 0.564 0.242
O 0.746 0.943 0.754
Si 0.355 0.704 0.258
Nb 0.109 0.585 0.574
O 0.757 0.230 0.246
O 0.464 0.056 0.439
O 0.918 0.048 0.245
Si 0.500 0.819 0.750

No. 5
Entry from Materials Project: an optimized crystal structure of GaSiMo4S8 (PBE-GGA).

Calculated values
electronic total energy	-0.238	hartree per atom
crystal system	cubic
calculated formation energy	-0.7088	eV/atom
symmetry	No. 216

abc: 7.496 7.496 7.496
angles: 60.00 60.00 60.00
Atoms (fractional coordinates):
Si 0.250 0.250 0.250
Ga 0.000 0.000 0.000
S 0.127 0.624 0.624
S 0.136 0.136 0.591
S 0.136 0.591 0.136
Mo 0.406 0.782 0.406
S 0.591 0.136 0.136
S 0.624 0.624 0.624
Mo 0.782 0.406 0.406
S 0.624 0.624 0.127
S 0.624 0.127 0.624
Mo 0.406 0.406 0.406
Mo 0.406 0.406 0.782
S 0.136 0.136 0.136

No. 6
Entry from Materials Project: an optimized crystal structure of LiMg5 (PBE-GGA).

Calculated values
electronic total energy	-0.062	hartree per atom
crystal system	orthorhombic
calculated formation energy	-0.0401	eV/atom
distance to the lowest polymorph of the same formula	0	meV/atom
symmetry	No. 38

abc: 8.417 8.417 5.125
angles: 90.00 90.00 158.31
Atoms (fractional coordinates):
Li 0.778 0.222 0.500
Mg 0.668 0.332 0.000
Mg 0.000 0.000 0.000
Mg 0.112 0.888 0.500
Mg 0.443 0.557 0.500
Mg 0.332 0.668 0.000

No. 7
Entry from Materials Project: an optimized crystal structure of Mg6Ni16Ge7 (PBE-GGA).

Calculated values
electronic total energy	-0.184	hartree per atom
crystal system	cubic
calculated formation energy	-0.3833	eV/atom
symmetry	No. 225

abc: 8.160 8.160 8.160
angles: 60.00 60.00 60.00
Atoms (fractional coordinates):
Mg 0.795 0.205 0.795
Ni 0.169 0.169 0.494
Mg 0.205 0.205 0.795
Ni 0.145 0.618 0.618
Ge 0.500 0.500 0.500
Ni 0.169 0.169 0.169
Ni 0.831 0.831 0.506
Ge 0.500 0.000 0.000
Ge 0.500 0.000 0.500
Ni 0.382 0.855 0.382
Ge 0.000 0.000 0.500
Ni 0.618 0.145 0.618
Ge 0.000 0.500 0.500
Ni 0.382 0.382 0.382
Ni 0.382 0.382 0.855
Ni 0.494 0.169 0.169
Ni 0.618 0.618 0.145
Ni 0.831 0.506 0.831
Mg 0.205 0.795 0.205
Mg 0.795 0.795 0.205
Ni 0.506 0.831 0.831
Mg 0.205 0.795 0.795
Ge 0.500 0.500 0.000
Mg 0.795 0.205 0.205
Ni 0.169 0.494 0.169
Ni 0.831 0.831 0.831
Ge 0.000 0.500 0.000
Ni 0.855 0.382 0.382
Ni 0.618 0.618 0.618

Look up the calculated formation energy of the seventh one.
-0.3833 eV/atom

The lowest electronic total energy belongs to which entry?
Na9MgNb5Si9O36